[1]
A relaxed Na2CdCl4 crystal. Source: the Materials Project database, functional r2SCAN.

Calculated values
Total magnetization (μB per formula unit): 0.000
E_form (eV/atom): -1.71
Calculated volume (Å³ per cell): 328.8

Cell and atoms, written as CIF:
```
data_Na2CdCl4
_chemical_formula_sum 'Na4 Cd2 Cl8'
_cell_length_a 7.005
_cell_length_b 11.943
_cell_length_c 3.930
_cell_angle_alpha 90.00
_cell_angle_beta 90.00
_cell_angle_gamma 90.00
_space_group_name_H-M_alt 'P b a m'
_space_group_IT_number 55
_space_group_name_Hall '-P 2 2ab'
loop_
_atom_site_label
_atom_site_fract_x
_atom_site_fract_y
_atom_site_fract_z
Na1 0.088 0.184 0.000
Cd1 0.000 0.500 0.500
Cl1 0.126 0.704 0.500
Cl2 0.248 0.456 0.000
```

[2]
A relaxed Cd7P4Cl6 crystal. Source: the Materials Project database, functional r2SCAN.

Calculated values
Total magnetization (μB per formula unit): 0.000
E_form (eV/atom): -0.78
Calculated volume (Å³ per cell): 1729.5

Cell and atoms, written as CIF:
```
data_Cd7P4Cl6
_chemical_formula_sum 'Cd28 P16 Cl24'
_cell_length_a 12.003
_cell_length_b 12.003
_cell_length_c 12.003
_cell_angle_alpha 90.00
_cell_angle_beta 90.00
_cell_angle_gamma 90.00
_space_group_name_H-M_alt 'P a -3'
_space_group_IT_number 205
_space_group_name_Hall '-P 2ac 2ab 3'
loop_
_atom_site_label
_atom_site_fract_x
_atom_site_fract_y
_atom_site_fract_z
Cd1 0.000 0.000 0.000
Cd2 0.015 0.225 0.733
P1 0.182 0.682 0.818
P2 0.213 0.213 0.213
Cl1 0.021 0.218 0.962
```

[3]
A relaxed Cd3PCl3 crystal. Source: the Materials Project database, functional r2SCAN.

Calculated values
Total magnetization (μB per formula unit): 0.000
E_form (eV/atom): -0.88
Calculated volume (Å³ per cell): 367.5

Cell and atoms, written as CIF:
```
data_Cd3PCl3
_chemical_formula_sum 'Cd6 P2 Cl6'
_cell_length_a 7.6938
_cell_length_b 7.6938
_cell_length_c 7.1685
_cell_angle_alpha 90.00
_cell_angle_beta 90.00
_cell_angle_gamma 120.00
_space_group_name_H-M_alt 'P -3 m 1'
_space_group_IT_number 164
_space_group_name_Hall '-P 3 2"'
loop_
_atom_site_label
_atom_site_fract_x
_atom_site_fract_y
_atom_site_fract_z
Cd1 0.0000 0.0000 0.0000
Cd2 0.0000 0.5000 0.5000
Cd3 0.3333 0.6667 0.0113
P1 0.3333 0.6667 0.3545
Cl1 0.1703 0.3406 0.8057
```

[4]
A relaxed Cd2P3Cl crystal. Source: the Materials Project database, functional r2SCAN.

Calculated values
Total magnetization (μB per formula unit): 0.000
E_form (eV/atom): -0.45
Calculated volume (Å³ per cell): 543.6

Cell and atoms, written as CIF:
```
data_Cd2P3Cl
_chemical_formula_sum 'Cd8 P12 Cl4'
_cell_length_a 8.036
_cell_length_b 9.060
_cell_length_c 7.594
_cell_angle_alpha 90.00
_cell_angle_beta 100.57
_cell_angle_gamma 90.00
_space_group_name_H-M_alt 'C 1 2/c 1'
_space_group_IT_number 15
_space_group_name_Hall '-C 2yc'
loop_
_atom_site_label
_atom_site_fract_x
_atom_site_fract_y
_atom_site_fract_z
Cd1 0.243 0.152 0.287
P1 0.000 0.195 0.750
P2 0.115 0.046 0.965
Cl1 0.000 0.364 0.250
```

[5]
A relaxed Dy4CdCo crystal. Source: the Materials Project database, functional r2SCAN.

Calculated values
Total magnetization (μB per formula unit): 0.000
E_form (eV/atom): -0.22
Calculated volume (Å³ per cell): 2377.4

Cell and atoms, written as CIF:
```
data_Dy4CdCo
_chemical_formula_sum 'Dy64 Cd16 Co16'
_cell_length_a 13.346
_cell_length_b 13.346
_cell_length_c 13.346
_cell_angle_alpha 90.00
_cell_angle_beta 90.00
_cell_angle_gamma 90.00
_space_group_name_H-M_alt 'F -4 3 m'
_space_group_IT_number 216
_space_group_name_Hall 'F -4 2 3'
loop_
_atom_site_label
_atom_site_fract_x
_atom_site_fract_y
_atom_site_fract_z
Dy1 0.000 0.000 0.189
Dy2 0.061 0.250 0.250
Dy3 0.154 0.154 0.654
Cd1 0.080 0.080 0.420
Co1 0.141 0.141 0.859
```

[6]
A relaxed Ho4CdCo crystal. Source: the Materials Project database, functional r2SCAN.

Calculated values
Total magnetization (μB per formula unit): 0.000
E_form (eV/atom): -0.22
Calculated volume (Å³ per cell): 2347.1

Cell and atoms, written as CIF:
```
data_Ho4CdCo
_chemical_formula_sum 'Ho64 Cd16 Co16'
_cell_length_a 13.290
_cell_length_b 13.290
_cell_length_c 13.290
_cell_angle_alpha 90.00
_cell_angle_beta 90.00
_cell_angle_gamma 90.00
_space_group_name_H-M_alt 'F -4 3 m'
_space_group_IT_number 216
_space_group_name_Hall 'F -4 2 3'
loop_
_atom_site_label
_atom_site_fract_x
_atom_site_fract_y
_atom_site_fract_z
Ho1 0.000 0.000 0.188
Ho2 0.061 0.250 0.250
Ho3 0.154 0.154 0.654
Cd1 0.080 0.080 0.420
Co1 0.141 0.141 0.859
```